Version A
A plane-wave DFT calculation with PBE was carried out for a relaxed structure of BaMg14Cd.

Cell: 10.5595 6.6535 11.4844 Å, 90.00 90.00 90.00°
Space group Amm2 (No. 38)
Unique sites:
1 Ba 0.0000 0.0000 0.0000
2 Mg 0.0000 0.2367 0.2538
3 Mg 0.2438 0.0000 0.6664
4 Mg 0.2645 0.2404 0.4141
5 Mg 0.2650 0.0000 0.1730
6 Mg 0.5000 0.0000 0.0000
7 Mg 0.5000 0.0000 0.5017
8 Mg 0.5000 0.2474 0.7493
9 Cd 0.0000 0.0000 0.4903

## Properties
Its calculated volume is 806.9 Å³ per cell.

Version B
A plane-wave DFT calculation with PBE was carried out for a relaxed structure of BaMg14Cd.

Cell: 6.6425 6.6425 10.5452 Å, 90.00 90.00 120.00°
Space group P-6m2 (No. 187)
Unique sites:
1 Ba 0.0000 0.0000 0.0000
2 Mg 0.0126 0.5063 0.0000
3 Mg 0.1723 0.3446 0.2649
4 Mg 0.5018 0.0035 0.5000
5 Mg 0.6667 0.3333 0.2459
6 Cd 0.0000 0.0000 0.5000

## Properties
Its calculated volume is 402.9 Å³ per cell.

List of relative energies, unit meV per atom: version A 0; version B 8

Version A
A plane-wave DFT calculation with PBE was carried out for a relaxed structure of BaCeEuHfO6.

Cell: 8.5841 8.5977 8.6131 Å, 90.00 90.00 90.00°
Space group Pnnn (No. 48, origin choice 2)
Unique sites:
1 Ba 0.2500 0.2500 0.2500
2 Ba 0.2500 0.7500 0.7500
3 Ce 0.0000 0.0000 0.0000
4 Eu 0.2500 0.2500 0.7500
5 Eu 0.2500 0.7500 0.2500
6 Hf 0.0000 0.0000 0.5000
7 O 0.0301 0.2373 0.4634
8 O 0.0503 0.0400 0.7365
9 O 0.2367 0.5480 0.0432

## Properties
Its calculated volume is 635.7 Å³ per cell.

Version B
A plane-wave DFT calculation with PBE was carried out for a relaxed structure of BaCeEuHfO6.

Cell: 8.6358 8.6358 8.6358 Å, 90.00 90.00 90.00°
Space group F-43m (No. 216)
Unique sites:
1 Ba 0.0000 0.0000 0.0000
2 Ce 0.2500 0.2500 0.2500
3 Eu 0.0000 0.0000 0.5000
4 Hf 0.2500 0.2500 0.7500
5 O 0.0084 0.2500 0.7500

## Properties
Its calculated volume is 644.0 Å³ per cell.

List of relative energies, unit meV per atom: version A 0; version B 241

Version A
A plane-wave DFT calculation with PBE was carried out for a relaxed structure of BaCeEuSbO6.

Cell: 6.0091 6.1096 8.5680 Å, 90.16 90.27 90.52°
Space group P-1 (No. 2)
Unique sites:
1 Ba 0.0113 0.0393 0.2495
2 Ce 0.0000 0.5000 0.5000
3 Ce 0.5000 0.0000 0.0000
4 Eu 0.4889 0.5450 0.2516
5 Sb 0.0000 0.5000 0.0000
6 Sb 0.5000 0.0000 0.5000
7 O 0.0920 0.5110 0.7620
8 O 0.2020 0.7746 0.0426
9 O 0.2266 0.7948 0.4575
10 O 0.2828 0.3067 0.0455
11 O 0.3089 0.2853 0.4561
12 O 0.4272 0.0249 0.7382

## Properties
Its calculated volume is 314.5 Å³ per cell.

Version B
A plane-wave DFT calculation with PBE was carried out for a relaxed structure of BaCeEuSbO6.

Cell: 8.6208 8.6571 8.6669 Å, 90.00 90.00 90.00°
Space group P222 (No. 16)
Unique sites:
1 Ba 0.0000 0.0000 0.0000
2 Ba 0.0000 0.0000 0.5000
3 Ba 0.0000 0.5000 0.0000
4 Ba 0.5000 0.5000 0.0000
5 Ce 0.2528 0.2515 0.2548
6 Eu 0.0000 0.5000 0.5000
7 Eu 0.5000 0.0000 0.0000
8 Eu 0.5000 0.0000 0.5000
9 Eu 0.5000 0.5000 0.5000
10 Sb 0.2512 0.2513 0.7471
11 O 0.0146 0.2145 0.7788
12 O 0.2072 0.2889 0.5140
13 O 0.2201 0.4867 0.7842
14 O 0.2896 0.0132 0.7065
15 O 0.2944 0.2131 0.9852
16 O 0.4860 0.2935 0.7096

## Properties
Its calculated volume is 646.8 Å³ per cell.

List of relative energies, unit meV per atom: version A 0; version B 119

Version A
A plane-wave DFT calculation with PBE was carried out for a relaxed structure of BaSrCeHfO6.

Cell: 6.0637 6.0708 8.5603 Å, 90.18 90.19 90.04°
Space group P-1 (No. 2)
Unique sites:
1 Ba 0.0051 0.0207 0.2498
2 Sr 0.4954 0.5290 0.2516
3 Ce 0.0000 0.5000 0.5000
4 Ce 0.5000 0.0000 0.0000
5 Hf 0.0000 0.5000 0.0000
6 Hf 0.5000 0.0000 0.5000
7 O 0.0827 0.5041 0.7598
8 O 0.2108 0.7717 0.0343
9 O 0.2292 0.7877 0.4683
10 O 0.2740 0.2937 0.0444
11 O 0.2967 0.2773 0.4578
12 O 0.4379 0.0334 0.7405

## Properties
Its calculated volume is 315.1 Å³ per cell.

Version B
A plane-wave DFT calculation with PBE was carried out for a relaxed structure of BaSrCeHfO6.

Cell: 8.6256 8.6256 8.6256 Å, 90.00 90.00 90.00°
Space group F-43m (No. 216)
Unique sites:
1 Ba 0.0000 0.0000 0.0000
2 Sr 0.0000 0.0000 0.5000
3 Ce 0.2500 0.2500 0.2500
4 Hf 0.2500 0.2500 0.7500
5 O 0.0086 0.2500 0.7500

## Properties
Its calculated volume is 641.8 Å³ per cell.

List of relative energies, unit meV per atom: version A 0; version B 40

Version A
A plane-wave DFT calculation with PBE was carried out for a relaxed structure of Ba2CeMgNbO6.

Cell: 6.0909 6.1308 6.4874 Å, 65.78 89.99 60.33°
Space group P-1 (No. 2)
Unique sites:
1 Ba 0.1876 0.1247 0.1214
2 Ce 0.0000 0.5000 0.5000
3 Mg 0.5000 0.5000 0.5000
4 Nb 0.5000 0.5000 0.0000
5 O 0.2664 0.5189 0.2480
6 O 0.2798 0.9402 0.8112
7 O 0.2852 0.4813 0.7520

## Properties
Its calculated volume is 185.6 Å³ per cell.

Version B
A plane-wave DFT calculation with PBE was carried out for a relaxed structure of Ba2CeMgNbO6.

Cell: 10.3023 6.0085 6.8285 Å, 90.00 123.35 90.00°
Space group Cm (No. 8)
Unique sites:
1 Ba 0.0000 0.0000 0.0000
2 Ba 0.2327 0.0000 0.7117
3 Ce 0.4440 0.0000 0.3367
4 Mg 0.2951 0.5000 0.4154
5 Nb 0.1183 0.5000 0.8650
6 O 0.0521 0.5000 0.1087
7 O 0.2067 0.5000 0.6375
8 O 0.2745 0.2625 0.0817
9 O 0.4516 0.2476 0.6252

## Properties
Its calculated volume is 353.1 Å³ per cell.

List of relative energies, unit meV per atom: version A 187; version B 0

Version A
A plane-wave DFT calculation with PBE was carried out for a relaxed structure of Ba4Ce2O7.

Cell: 14.2417 6.2083 12.2618 Å, 90.00 90.00 90.00°
Space group Cmce (No. 64)
Unique sites:
1 Ba 0.1543 0.2170 0.1197
2 Ce 0.0000 0.2313 0.3691
3 O 0.0000 0.0000 0.0000
4 O 0.0000 0.0986 0.7105
5 O 0.1618 0.2417 0.3823

## Properties
Its calculated volume is 1084.1 Å³ per cell.

Version B
A plane-wave DFT calculation with PBE was carried out for a relaxed structure of Ba4Ce2O7.

Cell: 19.1979 11.3793 7.8669 Å, 90.00 91.26 90.00°
Space group P2_1/c (No. 14)
Unique sites:
1 Ba 0.0803 0.2208 0.4839
2 Ba 0.0898 0.5548 0.6672
3 Ba 0.2459 0.7281 0.9687
4 Ba 0.2511 0.0558 0.8013
5 Ba 0.4109 0.2478 0.5256
6 Ba 0.4142 0.5991 0.6633
7 Ce 0.0829 0.5798 0.1775
8 Ce 0.2592 0.0776 0.3107
9 Ce 0.4187 0.5753 0.1738
10 O 0.0000 0.0000 0.5000
11 O 0.0105 0.1536 0.1897
12 O 0.1101 0.0628 0.8553
13 O 0.1501 0.7325 0.2163
14 O 0.1685 0.0009 0.4705
15 O 0.2624 0.5436 0.6002
16 O 0.3043 0.2443 0.2452
17 O 0.3374 0.6943 0.2353
18 O 0.3521 0.0049 0.4482
19 O 0.4219 0.0409 0.8881
20 O 0.4976 0.7085 0.2134

## Properties
Its calculated volume is 1718.2 Å³ per cell.

List of relative energies, unit meV per atom: version A 0; version B 58